Run i
# Ca9MnP7O28 (PBE+U, optimized geometry)
# symmetry	No. 161
# theoretical density	3.02	g/cm3
data_Ca9MnP7O28
_chemical_formula_sum 'Ca18 Mn2 P14 O56'
_symmetry_space_group_name_H-M 'P 1'
_symmetry_Int_Tables_number 1
_cell_length_a 13.916
_cell_length_b 13.916
_cell_length_c 13.916
_cell_angle_alpha 44.13
_cell_angle_beta 44.13
_cell_angle_gamma 44.13
loop_
_symmetry_equiv_pos_as_xyz
'x,y,z'
loop_
_atom_site_label
_atom_site_fract_x
_atom_site_fract_y
_atom_site_fract_z
Ca1 0.025 0.997 0.585
Ca2 0.085 0.497 0.525
Ca3 0.285 0.851 0.864
Ca4 0.351 0.785 0.364
Ca5 0.364 0.351 0.785
Ca6 0.408 0.943 0.967
Ca7 0.443 0.908 0.467
Ca8 0.467 0.443 0.908
Ca9 0.497 0.525 0.085
Ca10 0.525 0.085 0.497
Ca11 0.585 0.025 0.997
Ca12 0.785 0.364 0.351
Ca13 0.851 0.864 0.285
Ca14 0.864 0.285 0.851
Ca15 0.908 0.467 0.443
Ca16 0.943 0.967 0.408
Ca17 0.967 0.408 0.943
Ca18 0.997 0.585 0.025
Mn1 0.435 0.435 0.435
Mn2 0.935 0.935 0.935
P1 0.117 0.625 0.655
P2 0.125 0.617 0.155
P3 0.155 0.125 0.617
P4 0.190 0.190 0.190
P5 0.209 0.755 0.242
P6 0.242 0.209 0.755
P7 0.255 0.709 0.742
P8 0.617 0.155 0.125
P9 0.625 0.655 0.117
P10 0.655 0.117 0.625
P11 0.690 0.690 0.690
P12 0.709 0.742 0.255
P13 0.742 0.255 0.709
P14 0.755 0.242 0.209
O1 0.037 0.790 0.338
O2 0.045 0.325 0.158
O3 0.045 0.571 0.664
O4 0.050 0.593 0.320
O5 0.059 0.795 0.061
O6 0.059 0.799 0.579
O7 0.061 0.059 0.795
O8 0.071 0.545 0.164
O9 0.075 0.271 0.798
O10 0.077 0.797 0.819
O11 0.079 0.299 0.559
O12 0.093 0.550 0.820
O13 0.158 0.045 0.325
O14 0.164 0.071 0.545
O15 0.231 0.231 0.231
O16 0.234 0.846 0.244
O17 0.244 0.234 0.846
O18 0.271 0.798 0.075
O19 0.290 0.537 0.838
O20 0.295 0.559 0.561
O21 0.297 0.577 0.319
O22 0.298 0.771 0.575
O23 0.299 0.559 0.079
O24 0.319 0.297 0.577
O25 0.320 0.050 0.593
O26 0.325 0.158 0.045
O27 0.338 0.037 0.790
O28 0.346 0.734 0.744
O29 0.537 0.838 0.290
O30 0.545 0.164 0.071
O31 0.545 0.658 0.825
O32 0.550 0.820 0.093
O33 0.559 0.079 0.299
O34 0.559 0.561 0.295
O35 0.561 0.295 0.559
O36 0.571 0.664 0.045
O37 0.575 0.298 0.771
O38 0.577 0.319 0.297
O39 0.579 0.059 0.799
O40 0.593 0.320 0.050
O41 0.658 0.825 0.545
O42 0.664 0.045 0.571
O43 0.731 0.731 0.731
O44 0.734 0.744 0.346
O45 0.744 0.346 0.734
O46 0.771 0.575 0.298
O47 0.790 0.338 0.037
O48 0.795 0.061 0.059
O49 0.797 0.819 0.077
O50 0.798 0.075 0.271
O51 0.799 0.579 0.059
O52 0.819 0.077 0.797
O53 0.820 0.093 0.550
O54 0.825 0.545 0.658
O55 0.838 0.290 0.537
O56 0.846 0.244 0.234


Run ii
# Ca9MnP7O28 (PBE+U, optimized geometry)
# symmetry	No. 161
# theoretical density	3.04	g/cm3
data_Ca9MnP7O28
_chemical_formula_sum 'Ca18 Mn2 P14 O56'
_symmetry_space_group_name_H-M 'P 1'
_symmetry_Int_Tables_number 1
_cell_length_a 13.910
_cell_length_b 13.910
_cell_length_c 13.910
_cell_angle_alpha 44.03
_cell_angle_beta 44.03
_cell_angle_gamma 44.03
loop_
_symmetry_equiv_pos_as_xyz
'x,y,z'
loop_
_atom_site_label
_atom_site_fract_x
_atom_site_fract_y
_atom_site_fract_z
Ca1 0.056 0.465 0.479
Ca2 0.257 0.805 0.832
Ca3 0.305 0.757 0.332
Ca4 0.332 0.305 0.757
Ca5 0.353 0.373 0.952
Ca6 0.373 0.952 0.353
Ca7 0.452 0.873 0.853
Ca8 0.465 0.479 0.056
Ca9 0.479 0.056 0.465
Ca10 0.556 0.979 0.965
Ca11 0.757 0.332 0.305
Ca12 0.805 0.832 0.257
Ca13 0.832 0.257 0.805
Ca14 0.853 0.452 0.873
Ca15 0.873 0.853 0.452
Ca16 0.952 0.353 0.373
Ca17 0.965 0.556 0.979
Ca18 0.979 0.965 0.556
Mn1 0.401 0.401 0.401
Mn2 0.901 0.901 0.901
P1 0.085 0.587 0.124
P2 0.087 0.585 0.624
P3 0.124 0.085 0.587
P4 0.168 0.168 0.168
P5 0.174 0.723 0.212
P6 0.212 0.174 0.723
P7 0.223 0.674 0.712
P8 0.585 0.624 0.087
P9 0.587 0.124 0.085
P10 0.624 0.087 0.585
P11 0.668 0.668 0.668
P12 0.674 0.712 0.223
P13 0.712 0.223 0.674
P14 0.723 0.212 0.174
O1 0.011 0.295 0.158
O2 0.013 0.736 0.291
O3 0.014 0.573 0.589
O4 0.017 0.766 0.033
O5 0.030 0.754 0.571
O6 0.033 0.017 0.766
O7 0.038 0.253 0.772
O8 0.043 0.773 0.782
O9 0.049 0.489 0.796
O10 0.071 0.254 0.530
O11 0.073 0.514 0.089
O12 0.089 0.073 0.514
O13 0.158 0.011 0.295
O14 0.159 0.806 0.258
O15 0.209 0.209 0.209
O16 0.236 0.513 0.791
O17 0.253 0.772 0.038
O18 0.254 0.530 0.071
O19 0.258 0.159 0.806
O20 0.266 0.517 0.533
O21 0.272 0.753 0.538
O22 0.273 0.543 0.282
O23 0.282 0.273 0.543
O24 0.291 0.013 0.736
O25 0.295 0.158 0.011
O26 0.296 0.989 0.549
O27 0.306 0.659 0.758
O28 0.489 0.796 0.049
O29 0.511 0.658 0.795
O30 0.513 0.791 0.236
O31 0.514 0.089 0.073
O32 0.517 0.533 0.266
O33 0.530 0.071 0.254
O34 0.533 0.266 0.517
O35 0.538 0.272 0.753
O36 0.543 0.282 0.273
O37 0.549 0.296 0.989
O38 0.571 0.030 0.754
O39 0.573 0.589 0.014
O40 0.589 0.014 0.573
O41 0.658 0.795 0.511
O42 0.659 0.758 0.306
O43 0.709 0.709 0.709
O44 0.736 0.291 0.013
O45 0.753 0.538 0.272
O46 0.754 0.571 0.030
O47 0.758 0.306 0.659
O48 0.766 0.033 0.017
O49 0.772 0.038 0.253
O50 0.773 0.782 0.043
O51 0.782 0.043 0.773
O52 0.791 0.236 0.513
O53 0.795 0.511 0.658
O54 0.796 0.049 0.489
O55 0.806 0.258 0.159
O56 0.989 0.549 0.296


What is the stability order? It is run i, run ii, from most stable to least stable.


Run i
# CaMnSi2O6 (PBE+U, optimized geometry)
# symmetry	No. 61
# theoretical density	3.17	g/cm3
data_CaMnSi2O6
_chemical_formula_sum 'Ca8 Mn8 Si16 O48'
_symmetry_space_group_name_H-M 'P 1'
_symmetry_Int_Tables_number 1
_cell_length_a 5.485
_cell_length_b 19.229
_cell_length_c 9.831
_cell_angle_alpha 90.00
_cell_angle_beta 90.00
_cell_angle_gamma 90.00
loop_
_symmetry_equiv_pos_as_xyz
'x,y,z'
loop_
_atom_site_label
_atom_site_fract_x
_atom_site_fract_y
_atom_site_fract_z
Ca1 0.112 0.123 0.145
Ca2 0.112 0.377 0.645
Ca3 0.388 0.623 0.145
Ca4 0.388 0.877 0.645
Ca5 0.612 0.123 0.355
Ca6 0.612 0.377 0.855
Ca7 0.888 0.623 0.355
Ca8 0.888 0.877 0.855
Mn1 0.114 0.127 0.511
Mn2 0.114 0.373 0.011
Mn3 0.386 0.627 0.511
Mn4 0.386 0.873 0.011
Mn5 0.614 0.127 0.989
Mn6 0.614 0.373 0.489
Mn7 0.886 0.627 0.989
Mn8 0.886 0.873 0.489
Si1 0.057 0.727 0.666
Si2 0.057 0.773 0.166
Si3 0.241 0.025 0.832
Si4 0.241 0.475 0.332
Si5 0.259 0.525 0.832
Si6 0.259 0.975 0.332
Si7 0.443 0.227 0.666
Si8 0.443 0.273 0.166
Si9 0.557 0.727 0.834
Si10 0.557 0.773 0.334
Si11 0.741 0.025 0.668
Si12 0.741 0.475 0.168
Si13 0.759 0.525 0.668
Si14 0.759 0.975 0.168
Si15 0.943 0.227 0.834
Si16 0.943 0.273 0.334
O1 0.042 0.688 0.157
O2 0.042 0.812 0.657
O3 0.044 0.546 0.716
O4 0.044 0.954 0.216
O5 0.073 0.687 0.522
O6 0.073 0.813 0.022
O7 0.181 0.201 0.741
O8 0.181 0.299 0.241
O9 0.193 0.568 0.967
O10 0.193 0.932 0.467
O11 0.245 0.560 0.347
O12 0.245 0.940 0.847
O13 0.255 0.060 0.347
O14 0.255 0.440 0.847
O15 0.307 0.068 0.967
O16 0.307 0.432 0.467
O17 0.319 0.701 0.741
O18 0.319 0.799 0.241
O19 0.427 0.187 0.522
O20 0.427 0.313 0.022
O21 0.456 0.046 0.716
O22 0.456 0.454 0.216
O23 0.458 0.188 0.157
O24 0.458 0.312 0.657
O25 0.542 0.688 0.343
O26 0.542 0.812 0.843
O27 0.544 0.546 0.784
O28 0.544 0.954 0.284
O29 0.573 0.687 0.978
O30 0.573 0.813 0.478
O31 0.681 0.201 0.759
O32 0.681 0.299 0.259
O33 0.693 0.568 0.533
O34 0.693 0.932 0.033
O35 0.745 0.560 0.153
O36 0.745 0.940 0.653
O37 0.755 0.060 0.153
O38 0.755 0.440 0.653
O39 0.807 0.068 0.533
O40 0.807 0.432 0.033
O41 0.819 0.701 0.759
O42 0.819 0.799 0.259
O43 0.927 0.187 0.978
O44 0.927 0.313 0.478
O45 0.956 0.046 0.784
O46 0.956 0.454 0.284
O47 0.958 0.188 0.343
O48 0.958 0.312 0.843


Run ii
# CaMnSi2O6 (PBE+U, optimized geometry)
# theoretical density	3.41	g/cm3
data_CaMnSi2O6
_chemical_formula_sum 'Ca4 Mn4 Si8 O24'
_symmetry_space_group_name_H-M 'P 1'
_symmetry_Int_Tables_number 1
_cell_length_a 5.363
_cell_length_b 10.057
_cell_length_c 9.265
_cell_angle_alpha 90.00
_cell_angle_beta 90.00
_cell_angle_gamma 105.26
loop_
_symmetry_equiv_pos_as_xyz
'x,y,z'
loop_
_atom_site_label
_atom_site_fract_x
_atom_site_fract_y
_atom_site_fract_z
O1 0.034 0.880 0.093
O2 0.466 0.620 0.407
O3 0.657 0.652 0.017
O4 0.535 0.864 0.258
O5 0.466 0.120 0.093
O6 0.343 0.348 0.983
O7 0.535 0.364 0.242
O8 0.965 0.136 0.258
O9 0.157 0.152 0.517
O10 0.843 0.348 0.017
O11 0.343 0.848 0.517
O12 0.534 0.380 0.593
O13 0.657 0.152 0.483
O14 0.035 0.864 0.742
O15 0.965 0.636 0.242
O16 0.465 0.136 0.742
O17 0.035 0.364 0.758
O18 0.843 0.848 0.483
O19 0.157 0.652 0.983
O20 0.034 0.380 0.407
O21 0.465 0.636 0.758
O22 0.966 0.120 0.907
O23 0.966 0.620 0.593
O24 0.534 0.880 0.907
Mn1 0.250 0.000 0.904
Mn2 0.750 0.000 0.096
Mn3 0.750 0.500 0.404
Mn4 0.250 0.500 0.596
Ca1 0.750 0.500 0.799
Ca2 0.250 0.000 0.299
Ca3 0.250 0.500 0.201
Ca4 0.750 0.000 0.701
Si1 0.047 0.788 0.591
Si2 0.547 0.788 0.409
Si3 0.047 0.288 0.909
Si4 0.953 0.212 0.409
Si5 0.547 0.288 0.091
Si6 0.453 0.212 0.591
Si7 0.953 0.712 0.091
Si8 0.453 0.712 0.909


What is the stability order? It is run ii, run i, from most stable to least stable.